Entry 1:
A plane-wave DFT calculation with GGA+U was carried out for a relaxed Na2W4O13 crystal.

Computed properties:
Uncorrected energy ... -7.052 eV per atom
Formation energy from the elements ... -2203.4 meV/atom
ρ ... 6.0 g cm⁻³
E above lowest polymorph ... 14 meV per atom

Unit cell a=3.9012 b=8.4354 c=8.6176 alpha=96.23 beta=102.78 gamma=90.49
Last column: nearest neighbours and their distance in Å.
Space group P-1 (No. 2)
One atom of each set of equivalent atoms:
Na  0.2071  0.1976  0.4228 [2 per cell]  5 O 2.37-2.55
W  0.3523  0.5213  0.8061 [2 per cell]  4 O 1.76-1.95
W  0.4658  0.1301  0.8281 [2 per cell]  4 O 1.77-1.97
O  0.0644  0.8586  0.1554 [2 per cell]  1 W 1.81
O  0.1058  0.4911  0.1865 [2 per cell]  1 W 1.81
O  0.3234  0.6473  0.6537 [2 per cell]  1 W 1.76
O  0.3420  0.9856  0.6594 [2 per cell]  1 W 1.77
O  0.3498  0.3065  0.6960 [2 per cell]  2 W 1.95-1.97
O  0.4983  0.3455  0.9974 [2 per cell]  1 W 1.90
O  0.5000  0.0000  0.0000 [1 per cell]  2 W 1.92


Entry 2:
A plane-wave DFT calculation with GGA+U was carried out for a relaxed Na5W14O42 crystal.

Computed properties:
Uncorrected energy ... -7.189 eV per atom
Formation energy from the elements ... -2191.6 meV/atom
ρ ... 6.8 g cm⁻³
E above lowest polymorph ... 9 meV per atom

Unit cell a=5.5042 b=7.7899 c=38.5127 alpha=90.00 beta=90.00 gamma=90.00
Last column: nearest neighbours and their distance in Å.
Space group Immm (No. 71)
One atom of each set of equivalent atoms:
Na  0.0000  0.0000  0.0000 [2 per cell]  12 O 2.72-2.75
Na  0.0000  0.0000  0.4284 [4 per cell]  12 O 2.72-2.76
Na  0.0000  0.5000  0.2857 [4 per cell]  12 O 2.72-2.75
W  0.0000  0.2487  0.0722 [8 per cell]  6 O 1.93-1.96
W  0.0000  0.2500  0.3571 [8 per cell]  6 O 1.95
W  0.0000  0.2500  0.5000 [4 per cell]  6 O 1.95
W  0.0000  0.2513  0.2138 [8 per cell]  6 O 1.93-1.96
O  0.0000  0.0000  0.0707 [4 per cell]  2 W 1.94
O  0.0000  0.0000  0.2142 [4 per cell]  2 W 1.96
O  0.0000  0.0000  0.3579 [4 per cell]  2 W 1.95
O  0.0000  0.0000  0.5000 [2 per cell]  2 W 1.95
O  0.0000  0.5000  0.0714 [4 per cell]  2 W 1.96
O  0.0000  0.5000  0.2150 [4 per cell]  2 W 1.94
O  0.0000  0.5000  0.3564 [4 per cell]  2 W 1.95
O  0.0000  0.5000  0.5000 [2 per cell]  2 W 1.95
O  0.2470  0.2475  0.3932 [16 per cell]  2 W 1.93-1.95
O  0.2479  0.2526  0.3210 [16 per cell]  2 W 1.93-1.95
O  0.2498  0.2498  0.0357 [16 per cell]  2 W 1.95-1.96
O  0.2500  0.2500  0.2500 [8 per cell]  2 W 1.96


Entry 3:
A plane-wave DFT calculation with GGA+U was carried out for a relaxed Na3W12O32 crystal.

Computed properties:
Uncorrected energy ... -7.268 eV per atom
Formation energy from the elements ... -2107.2 meV/atom
ρ ... 7.4 g cm⁻³

Unit cell a=17.8769 b=17.8769 c=3.8880 alpha=90.00 beta=90.00 gamma=90.00
Last column: nearest neighbours and their distance in Å.
Space group P4 (No. 75)
One atom of each set of equivalent atoms:
Na  0.0000  0.5000  0.0000 [2 per cell]  6 O 2.52-2.66
Na  0.0719  0.2341  0.9684 [4 per cell]  5 O 2.59-2.86
W  0.0599  0.8597  0.5022 [4 per cell]  6 O 1.92-2.03
W  0.0674  0.6455  0.4985 [4 per cell]  6 O 1.91-2.10
W  0.1364  0.4327  0.4965 [4 per cell]  6 O 1.94-2.08
W  0.2352  0.2493  0.4951 [4 per cell]  6 O 1.89-2.05
W  0.2483  0.5790  0.4935 [4 per cell]  6 O 1.94-2.16
W  0.3582  0.4271  0.4907 [4 per cell]  6 O 1.94-2.09
O  0.0219  0.4130  0.4982 [4 per cell]  2 W 1.91-2.08
O  0.0302  0.7503  0.5020 [4 per cell]  2 W 1.99-2.03
O  0.0409  0.1033  0.5044 [4 per cell]  2 W 1.92-1.94
O  0.0589  0.8570  0.0025 [4 per cell]  2 W 1.94-1.95
O  0.0664  0.6449  0.9985 [4 per cell]  2 W 1.94
O  0.1317  0.5469  0.4965 [4 per cell]  3 W 2.04-2.16
O  0.1329  0.4331  0.9966 [4 per cell]  2 W 1.94-1.95
O  0.1574  0.3222  0.4972 [4 per cell]  2 W 1.91-2.01
O  0.1667  0.8304  0.5000 [4 per cell]  2 W 1.89-1.98
O  0.1770  0.6758  0.4961 [4 per cell]  3 W 2.03-2.15
O  0.2361  0.2500  0.9959 [4 per cell]  2 W 1.94-1.95
O  0.2476  0.4645  0.4934 [4 per cell]  3 W 2.05-2.09
O  0.2483  0.5794  0.9935 [4 per cell]  2 W 1.94
O  0.3161  0.6735  0.4932 [4 per cell]  3 W 2.02-2.08
O  0.3589  0.4271  0.9912 [4 per cell]  2 W 1.94-1.95
O  0.3670  0.5419  0.4912 [4 per cell]  3 W 2.06-2.22


What did the first record say?
A plane-wave DFT calculation with GGA+U was carried out for a relaxed Na2W4O13 crystal.

Computed properties:
Uncorrected energy ... -7.052 eV per atom
Formation energy from the elements ... -2203.4 meV/atom
ρ ... 6.0 g cm⁻³
E above lowest polymorph ... 14 meV per atom

Unit cell a=3.9012 b=8.4354 c=8.6176 alpha=96.23 beta=102.78 gamma=90.49
Last column: nearest neighbours and their distance in Å.
Space group P-1 (No. 2)
One atom of each set of equivalent atoms:
Na  0.2071  0.1976  0.4228 [2 per cell]  5 O 2.37-2.55
W  0.3523  0.5213  0.8061 [2 per cell]  4 O 1.76-1.95
W  0.4658  0.1301  0.8281 [2 per cell]  4 O 1.77-1.97
O  0.0644  0.8586  0.1554 [2 per cell]  1 W 1.81
O  0.1058  0.4911  0.1865 [2 per cell]  1 W 1.81
O  0.3234  0.6473  0.6537 [2 per cell]  1 W 1.76
O  0.3420  0.9856  0.6594 [2 per cell]  1 W 1.77
O  0.3498  0.3065  0.6960 [2 per cell]  2 W 1.95-1.97
O  0.4983  0.3455  0.9974 [2 per cell]  1 W 1.90
O  0.5000  0.0000  0.0000 [1 per cell]  2 W 1.92